# 1
DFT (PBE+U) results for a geometry-optimized Li10Mn3Cr3Ni2O16 structure.

Unit cell a=5.9174 b=5.9869 c=9.8062 alpha=90.88 beta=90.90 gamma=119.09
Last column: nearest neighbours and their distance in Å.
Atoms (fractional coordinates):
Li: 0.0158 0.9942 0.4825  4 O 1.83-1.89
Li: 0.1966 0.3977 0.0625  3 O 1.93-2.05, 1 Li 2.15
Li: 0.3552 0.6773 0.2833  6 O 2.05-2.24
Li: 0.6871 0.3360 0.7833  6 O 2.06-2.19
Li: 0.8171 0.1861 0.5631  3 O 1.97-2.02, 1 Li 2.15
Li: 0.4001 0.1816 0.5649  4 O 1.96-2.13, 1 Li 2.13
Li: 0.2155 0.8132 0.0541  3 O 1.93-1.99, 1 Li 2.15
Li: 0.6179 0.7966 0.0576  3 O 1.99-2.06, 1 Li 2.21
Li: 0.8026 0.5983 0.5546  4 O 1.96-2.18
Li: 0.0177 0.0113 0.9835  4 O 1.84-1.86
Mn: 0.8492 0.1762 0.2862  4 O 1.97-1.99
Mn: 0.6788 0.8306 0.7844  4 O 1.96-2.04
Mn: 0.8465 0.6657 0.2846  4 O 1.94-2.02
Cr: 0.1854 0.3373 0.7867  6 O 2.03-2.06
Cr: 0.3524 0.1716 0.2859  6 O 2.03-2.06
Cr: 0.1840 0.8309 0.7853  6 O 2.03-2.07
Ni: 0.3432 0.6542 0.5304  6 O 2.12-2.23
Ni: 0.6788 0.3360 0.0295  6 O 2.08-2.27
O: 0.3412 0.1610 0.9040  1 Li 1.86, 2 Cr 2.06
O: 0.1686 0.3190 0.4033  1 Li 1.89, 1 Mn 1.99, 1 Cr 2.06
O: 0.5318 0.0254 0.1672  3 Li 1.98-2.17, 1 Mn 1.99, 1 Cr 2.04, 1 Ni 2.14
O: 0.0310 0.5076 0.6664  3 Li 1.97-2.14, 2 Cr 2.03-2.04, 1 Ni 2.12
O: 0.1811 0.8413 0.3948  2 Li 1.85-2.05, 1 Mn 2.02, 1 Cr 2.06
O: 0.8527 0.1642 0.8964  2 Li 1.84-2.06, 1 Mn 2.04, 1 Cr 2.06
O: 0.5059 0.5046 0.6723  3 Li 1.96-2.10, 1 Mn 2.01, 1 Cr 2.03, 1 Ni 2.12
O: 0.5215 0.4930 0.1712  3 Li 1.99-2.11, 1 Mn 1.99, 1 Cr 2.05, 1 Ni 2.13
O: 0.3287 0.6570 0.9088  3 Li 1.99-2.06, 2 Cr 2.03-2.04, 1 Mn 2.21
O: 0.6738 0.3039 0.4087  1 Mn 1.97, 3 Li 2.02-2.11, 1 Cr 2.03
O: 0.5053 0.9700 0.6699  3 Li 1.96-2.19, 1 Mn 1.96, 1 Cr 2.04, 1 Ni 2.12
O: 0.9994 0.5217 0.1616  2 Li 1.93, 1 Mn 1.94, 1 Ni 2.08
O: 0.6852 0.8009 0.4114  1 Li 1.84, 1 Mn 1.97
O: 0.8528 0.6877 0.8994  1 Li 1.86, 1 Mn 1.98, 1 Cr 2.07
O: 0.0428 0.0141 0.6687  1 Li 1.83, 2 Cr 2.03
O: 0.0212 0.0361 0.1704  1 Li 1.84, 1 Mn 1.97, 1 Cr 2.03

**ΔE_f**: -2056 meV/atom
**Final energy**: -6.15 eV per atom

# 2
DFT (PBE+U) results for a geometry-optimized BaMn2FeSi2O9 structure.

Unit cell a=10.8964 b=10.8964 c=5.4559 alpha=83.87 beta=83.87 gamma=37.51
Last column: nearest neighbours and their distance in Å.
Atoms (fractional coordinates):
Ba: 0.2194 0.2194 0.7592  10 O 2.76-3.02
Ba: 0.7806 0.7806 0.2408  10 O 2.76-3.02
Mn: 0.7637 0.2363 0.0000  6 O 2.13-2.26
Mn: 0.2363 0.7637 0.0000  6 O 2.13-2.26
Mn: 0.0000 0.0000 0.5000  2 O 1.92
Mn: 0.5000 0.5000 0.5000  6 O 2.14-2.29
Fe: 0.6411 0.6411 0.7874  5 O 1.89-2.00
Fe: 0.3589 0.3589 0.2126  5 O 1.89-2.00
Si: 0.9093 0.3623 0.2917  4 O 1.63-1.66
Si: 0.3623 0.9093 0.2917  4 O 1.63-1.66
Si: 0.0907 0.6377 0.7083  4 O 1.63-1.66
Si: 0.6377 0.0907 0.7083  4 O 1.63-1.66
O: 0.0423 0.0423 0.7953  3 Mn 1.92-2.13
O: 0.9577 0.9577 0.2047  3 Mn 1.92-2.13
O: 0.1592 0.1592 0.2795  2 Si 1.66
O: 0.8408 0.8408 0.7205  2 Si 1.66
O: 0.8142 0.2978 0.3263  1 Si 1.64
O: 0.2978 0.8142 0.3263  1 Si 1.64
O: 0.1858 0.7022 0.6737  1 Si 1.64
O: 0.7022 0.1858 0.6737  1 Si 1.64
O: 0.8591 0.4788 0.0277  1 Si 1.63
O: 0.4788 0.8591 0.0277  1 Si 1.63
O: 0.1409 0.5212 0.9723  1 Si 1.63
O: 0.5212 0.1409 0.9723  1 Si 1.63
O: 0.8601 0.4805 0.5239  1 Si 1.63
O: 0.4805 0.8601 0.5239  1 Si 1.63
O: 0.1399 0.5195 0.4761  1 Si 1.63
O: 0.5195 0.1399 0.4761  1 Si 1.63
O: 0.5489 0.5489 0.8254  1 Fe 1.89
O: 0.4511 0.4511 0.1746  1 Fe 1.89

**ΔE_f**: -2674 meV/atom
**Final energy**: -7.50 eV per atom